Hf3Bi10Cl18 | PBE | optimized geometry

## Properties
Electronic total energy, eV/cell: -270.853
E_form, eV/atom: -1.433

Cell and atoms, written as POSCAR:
```
Hf3Bi10Cl18
1.0
7.116 -12.326 0.000
7.116 12.326 0.000
0.000 0.000 11.165
Hf Bi Cl
6 20 36
Cartesian
7.937 8.231 2.719 Hf
3.136 2.758 2.719 Hf
3.957 -1.337 8.301 Hf
10.276 1.337 2.719 Hf
11.097 -2.758 8.301 Hf
6.296 -8.231 8.301 Hf
0.000 0.000 9.839 Bi
6.602 5.885 6.365 Bi
6.570 5.900 10.339 Bi
4.436 4.722 8.382 Bi
8.988 6.123 8.382 Bi
0.000 0.000 4.256 Bi
5.839 2.740 10.339 Bi
5.835 2.775 6.365 Bi
8.941 3.687 10.339 Bi
8.912 3.666 6.365 Bi
7.925 1.481 8.382 Bi
6.307 -1.481 2.799 Bi
5.320 -3.666 0.782 Bi
5.292 -3.687 4.757 Bi
8.394 -2.740 4.757 Bi
8.398 -2.775 0.782 Bi
5.245 -6.123 2.799 Bi
9.797 -4.722 2.799 Bi
7.631 -5.885 0.782 Bi
7.663 -5.900 4.757 Bi
6.349 9.027 8.267 Cl
6.597 9.166 0.984 Cl
6.657 9.626 4.440 Cl
3.620 4.537 1.088 Cl
3.434 4.382 4.632 Cl
6.267 6.468 3.084 Cl
9.236 6.922 1.088 Cl
9.194 7.161 4.632 Cl
2.996 1.130 0.984 Cl
2.568 0.952 4.440 Cl
5.498 2.193 3.084 Cl
3.241 0.984 8.267 Cl
9.585 3.665 3.084 Cl
2.477 -2.030 6.567 Cl
2.109 -1.748 10.023 Cl
2.473 -2.314 2.684 Cl
8.493 0.866 1.088 Cl
8.721 0.783 4.632 Cl
5.739 -0.866 6.670 Cl
5.512 -0.783 10.214 Cl
11.760 2.314 8.267 Cl
11.756 2.030 0.984 Cl
12.124 1.748 4.440 Cl
4.648 -3.665 8.666 Cl
10.992 -0.984 2.684 Cl
8.735 -2.193 8.666 Cl
11.237 -1.130 6.567 Cl
11.665 -0.952 10.023 Cl
4.997 -6.922 6.670 Cl
5.039 -7.161 10.214 Cl
7.966 -6.468 8.666 Cl
10.613 -4.537 6.670 Cl
10.799 -4.382 10.214 Cl
7.636 -9.166 6.567 Cl
7.576 -9.626 10.023 Cl
7.884 -9.027 2.684 Cl
```